Entry 1:
Below is a relaxed Cr2As6O19 crystal, with properties calculated at the PBE with a Hubbard U level.

a = 5.1148 Å, b = 11.4508 Å, c = 13.3357 Å
α = 90.00°, β = 90.00°, γ = 90.00°
Sites, in units of the cell vectors:
1 Cr 0.0000 0.0000 0.5000
2 Cr 0.0000 0.0000 0.0000
3 Cr 0.0000 0.5000 0.5000
4 Cr 0.0000 0.5000 0.0000
5 As 0.5093 0.1095 0.3703
6 As 0.5093 0.1095 0.1297
7 As 0.5093 0.3905 0.3703
8 As 0.5093 0.3905 0.1297
9 As 0.4907 0.8905 0.6297
10 As 0.4907 0.8905 0.8703
11 As 0.4907 0.6095 0.6297
12 As 0.4907 0.6095 0.8703
13 As 0.0604 0.7500 0.3667
14 As 0.0604 0.7500 0.1333
15 As 0.9396 0.2500 0.6333
16 As 0.9396 0.2500 0.8667
17 O 0.3634 0.0893 0.2500
18 O 0.3634 0.4107 0.2500
19 O 0.6366 0.9107 0.7500
20 O 0.6366 0.5893 0.7500
21 O 0.2531 0.1178 0.4483
22 O 0.2531 0.1178 0.0517
23 O 0.2531 0.3822 0.4483
24 O 0.2531 0.3822 0.0517
25 O 0.7469 0.8822 0.5517
26 O 0.7469 0.8822 0.9483
27 O 0.7469 0.6178 0.5517
28 O 0.7469 0.6178 0.9483
29 O 0.1771 0.8717 0.4278
30 O 0.1771 0.8717 0.0722
31 O 0.1771 0.6283 0.4278
32 O 0.1771 0.6283 0.0722
33 O 0.8229 0.1283 0.5722
34 O 0.8229 0.1283 0.9278
35 O 0.8229 0.3717 0.5722
36 O 0.8229 0.3717 0.9278
37 O 0.2309 0.7500 0.2500
38 O 0.7691 0.2500 0.7500
39 O 0.7651 0.0183 0.3808
40 O 0.7651 0.0183 0.1192
41 O 0.7651 0.4817 0.3808
42 O 0.7651 0.4817 0.1192
43 O 0.2349 0.9817 0.6192
44 O 0.2349 0.9817 0.8808
45 O 0.2349 0.5183 0.6192
46 O 0.2349 0.5183 0.8808
47 O 0.6585 0.2500 0.3640
48 O 0.6585 0.2500 0.1360
49 O 0.3415 0.7500 0.6360
50 O 0.3415 0.7500 0.8640
51 O 0.7335 0.7500 0.3339
52 O 0.7335 0.7500 0.1661
53 O 0.2665 0.2500 0.6661
54 O 0.2665 0.2500 0.8339

Summary:
- Energy with MP2020 corrections: -370.06 eV/cell
- ΔE_f: -1.62 eV/atom
- DFT total energy: -6.221 eV per atom

---

Entry 2:
Below is a relaxed ZnCrAsO5 crystal, with properties calculated at the PBE with a Hubbard U level.

a = 6.1922 Å, b = 7.9413 Å, c = 8.3271 Å
α = 90.00°, β = 90.00°, γ = 90.00°
Sites, in units of the cell vectors:
1 Zn 0.0273 0.8000 0.6881
2 Zn 0.4727 0.2000 0.1881
3 Zn 0.9727 0.3000 0.8119
4 Zn 0.5273 0.7000 0.3119
5 Cr 0.2544 0.7518 0.0009
6 Cr 0.2456 0.2482 0.5009
7 Cr 0.7456 0.2518 0.4991
8 Cr 0.7544 0.7482 0.9991
9 As 0.4895 0.0948 0.8216
10 As 0.0105 0.9052 0.3216
11 As 0.5105 0.5948 0.6784
12 As 0.9895 0.4052 0.1784
13 O 0.5041 0.8980 0.9133
14 O 0.9959 0.1020 0.4133
15 O 0.4959 0.3980 0.5867
16 O 0.0041 0.6020 0.0867
17 O 0.4623 0.2440 0.9685
18 O 0.0377 0.7560 0.4685
19 O 0.5377 0.7440 0.5315
20 O 0.9623 0.2560 0.0315
21 O 0.7264 0.1265 0.7160
22 O 0.7736 0.8735 0.2160
23 O 0.2736 0.6265 0.7840
24 O 0.2264 0.3735 0.2840
25 O 0.2620 0.1029 0.7024
26 O 0.2380 0.8971 0.2024
27 O 0.7380 0.6029 0.7976
28 O 0.7620 0.3971 0.2976
29 O 0.0019 0.8649 0.9029
30 O 0.4981 0.1351 0.4029
31 O 0.9981 0.3649 0.5971
32 O 0.5019 0.6351 0.0971

Summary:
- Energy with MP2020 corrections: -221.95 eV/cell
- ΔE_f: -1.90 eV/atom
- DFT total energy: -6.257 eV per atom

---

Entry 3:
Below is a relaxed CsMoAsH2O7 crystal, with properties calculated at the PBE with a Hubbard U level.

a = 7.9484 Å, b = 10.2212 Å, c = 11.3282 Å
α = 63.29°, β = 69.65°, γ = 72.54°
Sites, in units of the cell vectors:
1 Cs 0.6785 0.6947 0.3362
2 Cs 0.3215 0.3053 0.6638
3 Cs 0.8069 0.3145 0.0434
4 Cs 0.1931 0.6855 0.9566
5 Mo 0.1254 0.7625 0.3676
6 Mo 0.8746 0.2375 0.6324
7 Mo 0.8697 0.6901 0.6936
8 Mo 0.1303 0.3099 0.3064
9 As 0.2021 0.9572 0.5557
10 As 0.7979 0.0428 0.4443
11 As 0.6940 0.9217 0.8664
12 As 0.3060 0.0783 0.1336
13 H 0.4829 0.8702 0.6147
14 H 0.5171 0.1298 0.3853
15 H 0.6822 0.9989 0.0272
16 H 0.3178 0.0011 0.9728
17 H 0.4979 0.5383 0.1981
18 H 0.5021 0.4617 0.8019
19 H 0.5436 0.6804 0.0677
20 H 0.4564 0.3196 0.9323
21 O 0.0901 0.8463 0.5409
22 O 0.9099 0.1537 0.4591
23 O 0.2999 0.0879 0.4036
24 O 0.7001 0.9121 0.5964
25 O 0.0781 0.0308 0.6757
26 O 0.9219 0.9692 0.3243
27 O 0.3834 0.8245 0.6208
28 O 0.6166 0.1755 0.3792
29 O 0.6893 0.0985 0.7395
30 O 0.3107 0.9015 0.2605
31 O 0.8578 0.7866 0.8201
32 O 0.1422 0.2134 0.1799
33 O 0.4830 0.8778 0.9296
34 O 0.5170 0.1222 0.0704
35 O 0.7755 0.9223 0.9923
36 O 0.2245 0.0777 0.0077
37 O 0.0387 0.5489 0.7610
38 O 0.9613 0.4511 0.2390
39 O 0.6742 0.6106 0.7769
40 O 0.3258 0.3894 0.2231
41 O 0.0917 0.7331 0.2385
42 O 0.9083 0.2669 0.7615
43 O 0.2990 0.6176 0.4251
44 O 0.7010 0.3824 0.5749
45 O 0.9240 0.6797 0.5176
46 O 0.0760 0.3203 0.4824
47 O 0.5996 0.5881 0.1312
48 O 0.4004 0.4119 0.8688

Summary:
- Energy with MP2020 corrections: -317.43 eV/cell
- ΔE_f: -1.79 eV/atom
- DFT total energy: -5.946 eV per atom

---

Entry 4:
Below is a relaxed Cs7Mo8AsO30 crystal, with properties calculated at the PBE with a Hubbard U level.

a = 12.4747 Å, b = 18.3175 Å, c = 18.3175 Å
α = 80.18°, β = 70.09°, γ = 70.09°
Sites, in units of the cell vectors:
1 Cs 0.1243 0.1257 0.6257
2 Cs 0.3757 0.3743 0.8743
3 Cs 0.8757 0.8743 0.3743
4 Cs 0.6243 0.6257 0.1257
5 Cs 0.7500 0.4959 0.5041
6 Cs 0.2500 0.0041 0.9959
7 Cs 0.2500 0.5041 0.4959
8 Cs 0.7500 0.9959 0.0041
9 Cs 0.7500 0.2595 0.7405
10 Cs 0.2500 0.2405 0.7595
11 Cs 0.2500 0.7405 0.2595
12 Cs 0.7500 0.7595 0.2405
13 Cs 0.0078 0.2500 0.2500
14 Cs 0.4922 0.7500 0.7500
15 Cs 0.9922 0.7500 0.7500
16 Cs 0.5078 0.2500 0.2500
17 Cs 0.0000 0.0000 0.5000
18 Cs 0.0000 0.5000 0.0000
19 Cs 0.5000 0.5000 0.0000
20 Cs 0.5000 0.0000 0.5000
21 Cs 0.1289 0.3367 0.4147
22 Cs 0.3803 0.1633 0.0853
23 Cs 0.3711 0.5853 0.6633
24 Cs 0.1197 0.9147 0.8367
25 Cs 0.8711 0.6633 0.5853
26 Cs 0.6197 0.8367 0.9147
27 Cs 0.6289 0.4147 0.3367
28 Cs 0.8803 0.0853 0.1633
29 Mo 0.7096 0.1525 0.4131
30 Mo 0.7752 0.3475 0.0869
31 Mo 0.7904 0.5869 0.8475
32 Mo 0.7248 0.9131 0.6525
33 Mo 0.2904 0.8475 0.5869
34 Mo 0.2248 0.6525 0.9131
35 Mo 0.2096 0.4131 0.1525
36 Mo 0.2752 0.0869 0.3475
37 Mo 0.4418 0.2435 0.5030
38 Mo 0.6882 0.2565 0.9970
39 Mo 0.0582 0.4970 0.7565
40 Mo 0.8118 0.0030 0.7435
41 Mo 0.5582 0.7565 0.4970
42 Mo 0.3118 0.7435 0.0030
43 Mo 0.9418 0.5030 0.2435
44 Mo 0.1882 0.9970 0.2565
45 Mo 0.5343 0.3351 0.5943
46 Mo 0.9637 0.1649 0.9057
47 Mo 0.9657 0.4057 0.6649
48 Mo 0.5363 0.0943 0.8351
49 Mo 0.4657 0.6649 0.4057
50 Mo 0.0363 0.8351 0.0943
51 Mo 0.0343 0.5943 0.3351
52 Mo 0.4637 0.9057 0.1649
53 Mo 0.8006 0.2479 0.5058
54 Mo 0.0543 0.2521 0.9942
55 Mo 0.6994 0.4942 0.7521
56 Mo 0.4457 0.0058 0.7479
57 Mo 0.1994 0.7521 0.4942
58 Mo 0.9457 0.7479 0.0058
59 Mo 0.3006 0.5058 0.2479
60 Mo 0.5543 0.9942 0.2521
61 As 0.6262 0.1238 0.6238
62 As 0.8738 0.3762 0.8762
63 As 0.3738 0.8762 0.3762
64 As 0.1262 0.6238 0.1238
65 O 0.5848 0.1276 0.5415
66 O 0.7539 0.3724 0.9585
67 O 0.9152 0.4585 0.8724
68 O 0.7461 0.0415 0.6276
69 O 0.4152 0.8724 0.4585
70 O 0.2461 0.6276 0.0415
71 O 0.0848 0.5415 0.1276
72 O 0.2539 0.9585 0.3724
73 O 0.6647 0.2070 0.6198
74 O 0.9916 0.2930 0.8802
75 O 0.8353 0.3802 0.7930
76 O 0.5084 0.1198 0.7070
77 O 0.3353 0.7930 0.3802
78 O 0.0084 0.7070 0.1198
79 O 0.1647 0.6198 0.2070
80 O 0.4916 0.8802 0.2930
81 O 0.8198 0.1505 0.4666
82 O 0.9369 0.3495 0.0334
83 O 0.6802 0.5334 0.8495
84 O 0.5631 0.9666 0.6505
85 O 0.1802 0.8495 0.5334
86 O 0.0631 0.6505 0.9666
87 O 0.3198 0.4666 0.1505
88 O 0.4369 0.0334 0.3495
89 O 0.5455 0.1856 0.4112
90 O 0.6423 0.3144 0.0888
91 O 0.9545 0.5888 0.8144
92 O 0.8577 0.9112 0.6856
93 O 0.4545 0.8144 0.5888
94 O 0.3577 0.6856 0.9112
95 O 0.0455 0.4112 0.1856
96 O 0.1423 0.0888 0.3144
97 O 0.7716 0.1945 0.3213
98 O 0.7874 0.3055 0.1787
99 O 0.7284 0.6787 0.8055
100 O 0.7126 0.8213 0.6945
101 O 0.2284 0.8055 0.6787
102 O 0.2126 0.6945 0.8213
103 O 0.2716 0.3213 0.1945
104 O 0.2874 0.1787 0.3055
105 O 0.7540 0.0539 0.3967
106 O 0.7046 0.4461 0.1033
107 O 0.7460 0.6033 0.9461
108 O 0.7954 0.8967 0.5539
109 O 0.2460 0.9461 0.6033
110 O 0.2954 0.5539 0.8967
111 O 0.2540 0.3967 0.0539
112 O 0.2046 0.1033 0.4461
113 O 0.6192 0.2709 0.4820
114 O 0.8721 0.2291 0.0180
115 O 0.8808 0.5180 0.7291
116 O 0.6279 0.9820 0.7709
117 O 0.3808 0.7291 0.5180
118 O 0.1279 0.7709 0.9820
119 O 0.1192 0.4820 0.2709
120 O 0.3721 0.0180 0.2291
121 O 0.3338 0.1947 0.5369
122 O 0.5654 0.3053 0.9631
123 O 0.1662 0.4631 0.8053
124 O 0.9346 0.0369 0.6947
125 O 0.6662 0.8053 0.4631
126 O 0.4346 0.6947 0.0369
127 O 0.8338 0.5369 0.1947
128 O 0.0654 0.9631 0.3053
129 O 0.3725 0.3290 0.4553
130 O 0.6568 0.1710 0.0447
131 O 0.1275 0.5447 0.6710
132 O 0.8432 0.9553 0.8290
133 O 0.6275 0.6710 0.5447
134 O 0.3432 0.8290 0.9553
135 O 0.8725 0.4553 0.3290
136 O 0.1568 0.0447 0.1710
137 O 0.4213 0.2809 0.6009
138 O 0.8030 0.2191 0.8991
139 O 0.0787 0.3991 0.7191
140 O 0.6970 0.1009 0.7809
141 O 0.5787 0.7191 0.3991
142 O 0.1970 0.7809 0.1009
143 O 0.9213 0.6009 0.2809
144 O 0.3030 0.8991 0.2191
145 O 0.4702 0.4276 0.5545
146 O 0.9523 0.0724 0.9455
147 O 0.0298 0.4455 0.5724
148 O 0.5477 0.0545 0.9276
149 O 0.5298 0.5724 0.4455
150 O 0.0477 0.9276 0.0545
151 O 0.9702 0.5545 0.4276
152 O 0.4523 0.9455 0.0724
153 O 0.4909 0.3482 0.6938
154 O 0.0329 0.1518 0.8062
155 O 0.0091 0.3062 0.6518
156 O 0.4671 0.1938 0.8482
157 O 0.5091 0.6518 0.3062
158 O 0.9671 0.8482 0.1938
159 O 0.9909 0.6938 0.3482
160 O 0.5329 0.8062 0.1518
161 O 0.6984 0.3389 0.5642
162 O 0.1015 0.1611 0.9358
163 O 0.8016 0.4358 0.6611
164 O 0.3985 0.0642 0.8389
165 O 0.3016 0.6611 0.4358
166 O 0.8985 0.8389 0.0642
167 O 0.1984 0.5642 0.3389
168 O 0.6015 0.9358 0.1611
169 O 0.9106 0.2125 0.5529
170 O 0.1760 0.2875 0.9471
171 O 0.5894 0.4471 0.7875
172 O 0.3240 0.0529 0.7125
173 O 0.0894 0.7875 0.4471
174 O 0.8240 0.7125 0.0529
175 O 0.4106 0.5529 0.2125
176 O 0.6760 0.9471 0.2875
177 O 0.8688 0.2961 0.4201
178 O 0.0850 0.2039 0.0799
179 O 0.6312 0.5799 0.7039
180 O 0.4150 0.9201 0.7961
181 O 0.1312 0.7039 0.5799
182 O 0.9150 0.7961 0.9201
183 O 0.3688 0.4201 0.2961
184 O 0.5850 0.0799 0.2039

Summary:
- Energy with MP2020 corrections: -1371.49 eV/cell
- ΔE_f: -2.10 eV/atom
- DFT total energy: -6.449 eV per atom

---

Entry 5:
Below is a relaxed MgFe2CuAs2H2O10 crystal, with properties calculated at the PBE with a Hubbard U level.

a = 6.0241 Å, b = 5.5153 Å, c = 7.8999 Å
α = 104.02°, β = 106.63°, γ = 106.89°
Sites, in units of the cell vectors:
1 Mg 0.4980 0.5104 0.9978
2 Fe 0.8472 0.4066 0.7892
3 Fe 0.1439 0.6144 0.2009
4 Cu 0.9942 0.0097 0.9920
5 As 0.2688 0.8538 0.6901
6 As 0.7317 0.1661 0.3048
7 H 0.2195 0.4124 0.6314
8 H 0.7433 0.6011 0.3819
9 O 0.5191 0.1474 0.8355
10 O 0.4826 0.8685 0.1682
11 O 0.3716 0.5797 0.7156
12 O 0.6125 0.4307 0.2828
13 O 0.0120 0.7904 0.7524
14 O 0.9749 0.2308 0.2291
15 O 0.1762 0.8226 0.4598
16 O 0.8493 0.2091 0.5378
17 O 0.1409 0.3496 0.9677
18 O 0.8520 0.6717 0.0211

Summary:
- Energy with MP2020 corrections: -117.29 eV/cell
- ΔE_f: -1.61 eV/atom
- DFT total energy: -5.884 eV per atom

---

Entry 6:
Below is a relaxed MgFe2CuAs2H2O10 crystal, with properties calculated at the PBE with a Hubbard U level.

a = 5.5316 Å, b = 5.7865 Å, c = 7.8186 Å
α = 110.46°, β = 98.36°, γ = 105.77°
Sites, in units of the cell vectors:
1 Mg 0.8215 0.8451 0.5697
2 Fe 0.8403 0.3878 0.8378
3 Fe 0.1986 0.6188 0.2102
4 Cu 0.0233 0.0104 0.0356
5 As 0.3013 0.7618 0.6808
6 As 0.6960 0.2333 0.3529
7 H 0.1663 0.3245 0.5953
8 H 0.6493 0.6329 0.2265
9 O 0.6125 0.9757 0.7759
10 O 0.4313 0.9559 0.2022
11 O 0.3516 0.4623 0.6395
12 O 0.5531 0.6166 0.3226
13 O 0.0433 0.7684 0.7859
14 O 0.9474 0.2537 0.2318
15 O 0.1523 0.7907 0.4822
16 O 0.8611 0.1903 0.5618
17 O 0.1341 0.3054 0.9738
18 O 0.9042 0.6914 0.0821

Summary:
- Energy with MP2020 corrections: -115.90 eV/cell
- ΔE_f: -1.54 eV/atom
- DFT total energy: -5.807 eV per atom

---

Entry 7:
Below is a relaxed MgFeCuAs2PbO10 crystal, with properties calculated at the PBE with a Hubbard U level.

a = 5.6396 Å, b = 6.0856 Å, c = 7.5216 Å
α = 104.97°, β = 97.41°, γ = 112.60°
Sites, in units of the cell vectors:
1 Mg 0.8998 0.3729 0.3089
2 Fe 0.9857 0.9970 0.5024
3 Cu 0.4706 0.4928 0.4944
4 As 0.5926 0.2069 0.7942
5 As 0.3810 0.7923 0.2121
6 Pb 0.9690 0.8825 0.9345
7 O 0.7953 0.6332 0.4413
8 O 0.1394 0.3523 0.5313
9 O 0.7249 0.0147 0.6799
10 O 0.2226 0.9631 0.3168
11 O 0.7175 0.9905 0.2799
12 O 0.2506 0.0344 0.7345
13 O 0.2899 0.5163 0.2747
14 O 0.6543 0.4680 0.7152
15 O 0.7240 0.3211 0.0322
16 O 0.2706 0.7002 0.9728

Summary:
- Energy with MP2020 corrections: -104.24 eV/cell
- ΔE_f: -1.72 eV/atom
- DFT total energy: -5.945 eV per atom